Li4V3Fe2O12 | PBE with a Hubbard U | optimized geometry

Total DFT energy (no corrections), eV per formula unit: -140.8

Unit cell a=8.9308 b=9.2310 c=15.3064 alpha=90.00 beta=124.31 gamma=90.00
Space group P2_1/c (No. 14)
One atom of each set of equivalent atoms:
Li  0.0008  0.2290  0.1928 [4 per cell]
Li  0.1178  0.6596  0.0187 [4 per cell]
Li  0.2779  0.0124  0.8474 [4 per cell]
Li  0.3692  0.0835  0.3027 [4 per cell]
V  0.0306  0.6123  0.6387 [4 per cell]
V  0.2733  0.1237  0.6567 [4 per cell]
V  0.4472  0.7500  0.4891 [4 per cell]
Fe  0.1307  0.0359  0.3822 [4 per cell]
Fe  0.3594  0.0216  0.1082 [4 per cell]
O  0.0221  0.7211  0.1881 [4 per cell]
O  0.1184  0.0182  0.2383 [4 per cell]
O  0.1324  0.0847  0.7001 [4 per cell]
O  0.1505  0.0704  0.5257 [4 per cell]
O  0.1618  0.6282  0.5869 [4 per cell]
O  0.1954  0.0573  0.9521 [4 per cell]
O  0.2268  0.6798  0.9346 [4 per cell]
O  0.2890  0.1866  0.1618 [4 per cell]
O  0.3891  0.1204  0.4440 [4 per cell]
O  0.4501  0.6571  0.3904 [4 per cell]
O  0.4779  0.0279  0.7295 [4 per cell]
O  0.4969  0.6309  0.5918 [4 per cell]



Cr3P2O8 | PBE with a Hubbard U | optimized geometry

Total DFT energy (no corrections), eV per formula unit: -98.6

Unit cell a=8.6317 b=10.5410 c=14.4662 alpha=90.00 beta=90.00 gamma=90.00
Space group P2_12_12_1 (No. 19)
One atom of each set of equivalent atoms:
Cr  0.0328  0.0051  0.4598 [4 per cell]
Cr  0.1054  0.9182  0.1111 [4 per cell]
Cr  0.1544  0.2661  0.7376 [4 per cell]
Cr  0.1567  0.8434  0.8689 [4 per cell]
Cr  0.1915  0.6669  0.6439 [4 per cell]
Cr  0.2036  0.5803  0.4105 [4 per cell]
P  0.0317  0.0012  0.6886 [4 per cell]
P  0.0359  0.1721  0.2608 [4 per cell]
P  0.1487  0.1759  0.9640 [4 per cell]
P  0.2005  0.3433  0.5289 [4 per cell]
O  0.0055  0.5805  0.3211 [4 per cell]
O  0.0222  0.6369  0.5469 [4 per cell]
O  0.0497  0.4765  0.9060 [4 per cell]
O  0.0542  0.8687  0.7371 [4 per cell]
O  0.0673  0.5900  0.7522 [4 per cell]
O  0.0775  0.3090  0.6038 [4 per cell]
O  0.1130  0.7348  0.2016 [4 per cell]
O  0.1172  0.0926  0.3406 [4 per cell]
O  0.1171  0.3988  0.4416 [4 per cell]
O  0.1514  0.2763  0.2366 [4 per cell]
O  0.1657  0.2790  0.0387 [4 per cell]
O  0.1909  0.0631  0.6762 [4 per cell]
O  0.1925  0.5520  0.0661 [4 per cell]
O  0.2116  0.7805  0.0021 [4 per cell]
O  0.2157  0.2407  0.8733 [4 per cell]
O  0.2431  0.0537  0.9848 [4 per cell]



Cr2Bi28O47 | PBE with a Hubbard U | optimized geometry

Total DFT energy (no corrections), eV per formula unit: -451.4

Unit cell a=8.8632 b=8.8767 c=17.1294 alpha=90.10 beta=90.43 gamma=90.32
Space group P1 (No. 1)
One atom of each set of equivalent atoms:
Cr  0.0000  0.0000  0.0000 [1 per cell]
Cr  0.4635  0.5018  0.5000 [1 per cell]
Bi  0.0179  0.3336  0.5203 [1 per cell]
Bi  0.0700  0.3439  0.8505 [1 per cell]
Bi  0.0729  0.3455  0.1887 [1 per cell]
Bi  0.1631  0.6571  0.6886 [1 per cell]
Bi  0.1653  0.6561  0.3548 [1 per cell]
Bi  0.1757  0.6039  0.0199 [1 per cell]
Bi  0.2461  0.9950  0.5219 [1 per cell]
Bi  0.2606  0.9368  0.1857 [1 per cell]
Bi  0.2643  0.9402  0.8517 [1 per cell]
Bi  0.3529  0.2415  0.3512 [1 per cell]
Bi  0.3539  0.2492  0.6877 [1 per cell]
Bi  0.4011  0.2586  0.0220 [1 per cell]
Bi  0.4611  0.5436  0.8607 [1 per cell]
Bi  0.4641  0.5494  0.1816 [1 per cell]
Bi  0.5182  0.8338  0.0196 [1 per cell]
Bi  0.5715  0.8446  0.6886 [1 per cell]
Bi  0.5728  0.8416  0.3500 [1 per cell]
Bi  0.6643  0.1579  0.1891 [1 per cell]
Bi  0.6680  0.1597  0.8520 [1 per cell]
Bi  0.6737  0.1028  0.5196 [1 per cell]
Bi  0.7449  0.4967  0.0210 [1 per cell]
Bi  0.7574  0.4387  0.6864 [1 per cell]
Bi  0.7633  0.4361  0.3503 [1 per cell]
Bi  0.8530  0.7486  0.8517 [1 per cell]
Bi  0.8547  0.7469  0.1876 [1 per cell]
Bi  0.9042  0.7597  0.5226 [1 per cell]
Bi  0.9593  0.0462  0.6814 [1 per cell]
Bi  0.9596  0.0397  0.3614 [1 per cell]
O  0.0405  0.7969  0.2756 [1 per cell]
O  0.0427  0.7968  0.7689 [1 per cell]
O  0.0841  0.8658  0.4420 [1 per cell]
O  0.0839  0.8675  0.6013 [1 per cell]
O  0.1416  0.1687  0.6006 [1 per cell]
O  0.1436  0.1698  0.4413 [1 per cell]
O  0.1713  0.0659  0.0336 [1 per cell]
O  0.2079  0.1271  0.2678 [1 per cell]
O  0.2082  0.4662  0.2701 [1 per cell]
O  0.2139  0.4678  0.7710 [1 per cell]
O  0.2157  0.1306  0.7687 [1 per cell]
O  0.2778  0.4256  0.1008 [1 per cell]
O  0.2799  0.4271  0.9417 [1 per cell]
O  0.2972  0.5611  0.5322 [1 per cell]
O  0.3392  0.7315  0.9412 [1 per cell]
O  0.3431  0.7282  0.0996 [1 per cell]
O  0.3827  0.7961  0.7720 [1 per cell]
O  0.3851  0.7954  0.2652 [1 per cell]
O  0.4600  0.0456  0.6381 [1 per cell]
O  0.4607  0.0389  0.4020 [1 per cell]
O  0.4614  0.0495  0.1379 [1 per cell]
O  0.4683  0.0448  0.9068 [1 per cell]
O  0.4685  0.5320  0.4031 [1 per cell]
O  0.4763  0.3156  0.5145 [1 per cell]
O  0.5407  0.3030  0.7722 [1 per cell]
O  0.5465  0.2939  0.2694 [1 per cell]
O  0.5844  0.3678  0.9412 [1 per cell]
O  0.5864  0.3650  0.1024 [1 per cell]
O  0.6084  0.5913  0.5434 [1 per cell]
O  0.6410  0.6675  0.1017 [1 per cell]
O  0.6408  0.6699  0.9413 [1 per cell]
O  0.7080  0.6283  0.7698 [1 per cell]
O  0.7105  0.6262  0.2670 [1 per cell]
O  0.7107  0.9676  0.7684 [1 per cell]
O  0.7144  0.9690  0.2728 [1 per cell]
O  0.7814  0.9215  0.6028 [1 per cell]
O  0.7830  0.9217  0.4403 [1 per cell]
O  0.8377  0.2285  0.4408 [1 per cell]
O  0.8389  0.2280  0.5999 [1 per cell]
O  0.8803  0.2949  0.2690 [1 per cell]
O  0.8795  0.2992  0.7666 [1 per cell]
O  0.9055  0.8468  0.0325 [1 per cell]
O  0.9467  0.0656  0.9064 [1 per cell]
O  0.9592  0.5487  0.6364 [1 per cell]
O  0.9615  0.5458  0.1376 [1 per cell]
O  0.9621  0.5461  0.9042 [1 per cell]
O  0.9670  0.5439  0.4058 [1 per cell]